# 1
DFT (PBE) results for SnO2 after structural relaxation.

The total energy after the MP2020 corrections is -232.0 eV for the cell shown. As for the space group: No. 156.

Geometry as extended XYZ:
```
36
Lattice="2.710 4.953 -3.236 -3.815 1.170 5.140 11.651 -0.631 8.792" Properties=species:S:1:pos:R:3 pbc="T T T"
Sn 11.184 3.768 5.493
Sn 9.377 4.323 7.927
Sn 3.207 1.445 8.333
Sn 9.901 1.423 7.025
Sn 5.210 0.831 5.635
Sn 2.353 2.215 5.361
Sn 7.022 1.962 8.884
Sn 1.308 2.948 2.398
Sn 4.629 4.045 6.634
Sn -0.564 3.523 4.920
Sn -0.021 0.518 3.985
Sn 0.513 -0.028 0.387
O 9.842 2.509 8.765
O 9.247 3.220 6.130
O 11.723 1.932 6.231
O 11.178 4.950 7.170
O 8.445 3.988 3.197
O 7.441 3.962 8.740
O 5.038 -0.273 3.802
O 8.042 0.634 7.705
O 10.548 -0.571 7.960
O 6.442 4.602 5.896
O 7.022 1.387 4.896
O 5.969 1.270 10.499
O 0.239 1.734 5.680
O 3.178 0.592 6.343
O 2.709 3.189 7.151
O -0.639 2.377 3.104
O 5.344 2.053 7.618
O 1.886 1.229 3.461
O 1.409 3.873 4.283
O 4.327 2.693 4.970
O 1.295 1.822 0.547
O 0.752 4.832 1.483
O 3.124 3.552 1.510
O 2.627 4.257 -1.044
```

=====

# 2
DFT (PBE) results for Ti2RePt after structural relaxation.

The relative energy among the computed polymorphs comes out at 0 meV per atom. As for the space group: No. 123.

Geometry as extended XYZ:
```
4
Lattice="-2.239 0.415 2.226 -0.627 -3.121 -0.050 4.187 -0.912 4.382" Properties=species:S:1:pos:R:3 pbc="T T T"
Ti -0.348 -1.589 2.223
Ti 1.669 -2.029 4.335
Re 2.094 -0.456 2.191
Pt 0.000 0.000 0.000
```

=====

# 3
DFT (PBE) results for K2LiH2Se2O6 after structural relaxation.

The total energy after the MP2020 corrections is -66.9 eV for the cell shown. The relative energy among the computed polymorphs comes out at 35 meV per atom. As for the space group: No. 2.

Geometry as extended XYZ:
```
13
Lattice="5.447 0.024 -1.232 -0.858 4.425 -2.176 0.729 0.148 8.206" Properties=species:S:1:pos:R:3 pbc="T T T"
K 2.318 2.906 0.227
K 3.001 1.692 4.571
Li -0.429 2.213 -1.088
H 1.210 0.323 -0.427
H 4.109 4.274 5.224
Se 5.341 1.054 1.006
Se -0.023 3.543 3.792
O 1.714 0.933 6.947
O 3.604 3.664 -2.149
O 4.855 2.020 -0.308
O 0.464 2.578 5.106
O 1.571 0.765 2.070
O 3.747 3.832 2.728
```

=====

# 4
DFT (PBE) results for Sm2ZnS4 after structural relaxation.

The total energy after the MP2020 corrections is -80.1 eV for the cell shown. As for the space group: No. 122.

Geometry as extended XYZ:
```
14
Lattice="-4.159 4.159 4.441 4.159 -4.159 4.441 4.159 4.159 -4.441" Properties=species:S:1:pos:R:3 pbc="T T T"
Sm -1.212 2.079 5.551
Sm 2.079 2.946 -1.110
Sm 5.371 2.079 1.110
Sm 2.079 1.212 3.331
Zn 0.000 4.159 2.221
Zn 0.000 0.000 0.000
S 4.690 1.806 3.815
S 4.690 2.352 -1.594
S 1.806 0.532 6.035
S 5.965 -0.532 0.627
S 3.627 -1.806 3.815
S 2.352 0.532 0.627
S -0.532 1.806 2.847
S 2.352 3.627 1.594
```